A plane-wave DFT calculation with meta-GGA r2SCAN was carried out for a geometry-optimized BaAl2O4 structure.

Summary:
ΔH_f (0 K) in eV per atom: -3.3378

CIF file:
```
data_BaAl2O4
_cell_length_a 5.2097
_cell_length_b 5.2097
_cell_length_c 8.9185
_cell_angle_alpha 90.00
_cell_angle_beta 90.00
_cell_angle_gamma 120.00
_space_group_name_H-M_alt 'P 63 2 2'
_space_group_IT_number 182
_space_group_name_Hall 'P 6c 2c'
loop_
_atom_site_label
_atom_site_fract_x
_atom_site_fract_y
_atom_site_fract_z
Ba1 0.0000 0.0000 0.2500
Al1 0.3333 0.6667 0.0544
O1 0.0000 0.3554 0.5000
O2 0.3333 0.6667 0.2500
```



A plane-wave DFT calculation with meta-GGA r2SCAN was carried out for a geometry-optimized Ba3AlO4 structure.

Summary:
ΔH_f (0 K) in eV per atom: -2.8437

CIF file:
```
data_Ba3AlO4
_cell_length_a 10.565
_cell_length_b 8.252
_cell_length_c 7.307
_cell_angle_alpha 90.00
_cell_angle_beta 90.00
_cell_angle_gamma 90.00
_space_group_name_H-M_alt 'P n m a'
_space_group_IT_number 62
loop_
_space_group_symop_operation_xyz
'x,y,z'
'-x,-y,-z'
'-x+1/2,-y,z+1/2'
'x+1/2,y,-z+1/2'
'x+1/2,-y+1/2,-z+1/2'
'-x+1/2,y+1/2,z+1/2'
'-x,y+1/2,-z'
'x,-y+1/2,z'
loop_
_atom_site_label
_atom_site_fract_x
_atom_site_fract_y
_atom_site_fract_z
Ba1 0.036 0.250 0.096
Ba2 0.164 0.026 0.603
Al1 0.104 0.750 0.312
O1 0.013 0.750 0.517
O2 0.072 0.567 0.197
O3 0.233 0.250 0.872
```



A plane-wave DFT calculation with meta-GGA r2SCAN was carried out for a geometry-optimized BaAl2O4 structure.

Summary:
ΔH_f (0 K) in eV per atom: -3.3391

CIF file:
```
data_BaAl2O4
_cell_length_a 10.4804
_cell_length_b 10.4804
_cell_length_c 8.8061
_cell_angle_alpha 90.00
_cell_angle_beta 90.00
_cell_angle_gamma 120.00
_space_group_name_H-M_alt 'P 63'
_space_group_IT_number 173
loop_
_space_group_symop_operation_xyz
'x,y,z'
'x-y,x,z+1/2'
'-y,x-y,z'
'-x,-y,z+1/2'
'-x+y,-x,z'
'y,-x+y,z+1/2'
loop_
_atom_site_label
_atom_site_fract_x
_atom_site_fract_y
_atom_site_fract_z
Ba1 0.0000 0.0000 0.0000
Ba2 0.0073 0.5006 0.0134
Al1 0.1541 0.3281 0.7057
Al2 0.1555 0.3312 0.3189
Al3 0.3333 0.6667 0.2030
Al4 0.3333 0.6667 0.8030
O1 0.0005 0.6869 0.2999
O2 0.0030 0.1813 0.2357
O3 0.1131 0.3215 0.5123
O4 0.1804 0.5009 0.2579
O5 0.1830 0.6858 0.7458
O6 0.3333 0.6667 0.0029
```



A plane-wave DFT calculation with meta-GGA r2SCAN was carried out for a geometry-optimized BaAl4Sb2O12 structure.

Summary:
ΔH_f (0 K) in eV per atom: -2.7830

CIF file:
```
data_BaAl4Sb2O12
_cell_length_a 9.879
_cell_length_b 9.879
_cell_length_c 8.781
_cell_angle_alpha 90.00
_cell_angle_beta 90.00
_cell_angle_gamma 90.00
_space_group_name_H-M_alt 'I 4/m'
_space_group_IT_number 87
_space_group_name_Hall '-I 4'
loop_
_atom_site_label
_atom_site_fract_x
_atom_site_fract_y
_atom_site_fract_z
Ba1 0.000 0.000 0.215
Al1 0.150 0.334 0.165
Sb1 0.150 0.338 0.500
O1 0.038 0.669 0.175
O2 0.048 0.658 0.500
O3 0.149 0.200 0.000
O4 0.157 0.203 0.332
```



Total moment (computed, μB/f.u.): 0.0, 1.0, 0.0, 0.0